## Mn4N (PBE)

Data for Mn4N after structural relaxation.

Structure (POSCAR):
```
Mn4N
1.0
-3.4051 -1.5800 0.1071
1.2753 -2.8865 -2.0358
0.9389 -1.8095 3.1539
Mn N
4 1
Direct
0.0000 0.0000 0.0000
0.5000 0.5000 0.0000
0.5000 0.0000 0.5000
0.0000 0.5000 0.5000
0.5000 0.5000 0.5000
```

Results
* energy above the most stable polymorph in this dataset: 0.000 eV/atom
* uncorrected energy: -9.17 eV/atom
* formation energy from the elements: -0.2464 eV/atom